No. 1
Material: Rb2S3
Method: DFT, r2SCAN
State: optimized geometry

abc: 6.4829 6.4829 7.7463
angles: 90.00 90.00 109.63
Fractional positions:
Rb 0.4216 0.5784 0.8095
Rb 0.5784 0.4216 0.3095
Rb 0.8936 0.1064 0.5389
Rb 0.1064 0.8936 0.0389
S 0.3829 0.0663 0.6527
S 0.6171 0.9337 0.1527
S 0.9337 0.6171 0.6527
S 0.0663 0.3829 0.1527
S 0.7995 0.2005 0.0037
S 0.2005 0.7995 0.5037

Output
The theoretical density comes out at 2.9 g cm⁻³. As for the formation energy: -942 meV/atom.

No. 2
Material: Rb2S5
Method: DFT, r2SCAN
State: optimized geometry

abc: 6.5974 6.8159 18.6664
angles: 90.00 90.00 90.00
Fractional positions:
Rb 0.4175 0.7099 0.3244
Rb 0.9175 0.7901 0.6756
Rb 0.5825 0.2099 0.1756
Rb 0.0825 0.2901 0.8244
Rb 0.8783 0.5739 0.0079
Rb 0.3783 0.9261 0.9921
Rb 0.1217 0.0739 0.4921
Rb 0.6217 0.4261 0.5079
S 0.5432 0.7064 0.1499
S 0.0432 0.7936 0.8501
S 0.4568 0.2064 0.3501
S 0.9568 0.2936 0.6499
S 0.2469 0.6226 0.1390
S 0.7469 0.8774 0.8610
S 0.7531 0.1226 0.3610
S 0.2531 0.3774 0.6390
S 0.5912 0.9232 0.5400
S 0.0912 0.5768 0.4600
S 0.4088 0.4232 0.9600
S 0.9088 0.0768 0.0400
S 0.4310 0.9120 0.6337
S 0.9310 0.5880 0.3663
S 0.5690 0.4120 0.8663
S 0.0690 0.0880 0.1337
S 0.4434 0.1758 0.6887
S 0.9434 0.3242 0.3113
S 0.5566 0.6758 0.8113
S 0.0566 0.8242 0.1887

Output
The theoretical density comes out at 2.6 g cm⁻³. As for the formation energy: -712 meV/atom.

No. 3
Material: Rb3SbS4
Method: DFT, r2SCAN
State: optimized geometry

abc: 9.6199 9.9154 11.1960
angles: 90.00 90.00 90.00
Fractional positions:
Rb 0.3600 0.5786 0.7500
Rb 0.9407 0.7048 0.0428
Rb 0.0593 0.2952 0.5428
Rb 0.5593 0.2048 0.9572
Rb 0.5593 0.2048 0.5428
Rb 0.0593 0.2952 0.9572
Rb 0.9407 0.7048 0.4572
Rb 0.4407 0.7952 0.0428
Rb 0.6400 0.4214 0.2500
Rb 0.8600 0.9214 0.7500
Rb 0.1400 0.0786 0.2500
Rb 0.4407 0.7952 0.4572
Sb 0.2800 0.0175 0.7500
Sb 0.7800 0.4825 0.7500
Sb 0.2200 0.5175 0.2500
Sb 0.7200 0.9825 0.2500
S 0.8419 0.0393 0.4234
S 0.3419 0.4607 0.0766
S 0.6581 0.5393 0.5766
S 0.1581 0.9607 0.9234
S 0.1581 0.9607 0.5766
S 0.6581 0.5393 0.9234
S 0.3419 0.4607 0.4234
S 0.8419 0.0393 0.0766
S 0.4981 0.9101 0.7500
S 0.9981 0.5899 0.7500
S 0.0019 0.4101 0.2500
S 0.5019 0.0899 0.2500
S 0.3129 0.2518 0.7500
S 0.6871 0.7482 0.2500
S 0.1871 0.7518 0.2500
S 0.8129 0.2482 0.7500

Output
The theoretical density comes out at 3.1 g cm⁻³. As for the formation energy: -1060 meV/atom.

No. 4
Material: RbSnS4
Method: DFT, r2SCAN
State: optimized geometry

abc: 10.0522 13.9464 19.8783
angles: 90.00 90.00 90.00
Fractional positions:
Rb 0.8603 0.4736 0.8121
Rb 0.2717 0.9613 0.0714
Rb 0.3603 0.5264 0.6879
Rb 0.2717 0.4613 0.9286
Rb 0.7717 0.0387 0.4286
Rb 0.1397 0.5264 0.1879
Rb 0.3603 0.0264 0.3121
Rb 0.2283 0.9613 0.5714
Rb 0.6397 0.4736 0.3121
Rb 0.7283 0.5387 0.0714
Rb 0.7717 0.5387 0.5714
Rb 0.2283 0.4613 0.4286
Rb 0.6397 0.9736 0.6879
Rb 0.8603 0.9736 0.1879
Rb 0.1397 0.0264 0.8121
Rb 0.7283 0.0387 0.9286
Sn 0.8252 0.7316 0.3261
Sn 0.3252 0.7684 0.8261
Sn 0.0000 0.7500 0.9173
Sn 0.6748 0.2316 0.1739
Sn 0.5000 0.2500 0.5827
Sn 0.8252 0.2316 0.6739
Sn 0.5000 0.2500 0.7707
Sn 0.1748 0.2684 0.6739
Sn 0.1748 0.7684 0.3261
Sn 0.5000 0.7500 0.2293
Sn 0.0000 0.2500 0.0827
Sn 0.0000 0.7500 0.7293
Sn 0.5000 0.7500 0.4173
Sn 0.3252 0.2684 0.1739
Sn 0.0000 0.2500 0.2707
Sn 0.6748 0.7316 0.8261
S 0.4366 0.6216 0.1398
S 0.5646 0.8764 0.5088
S 0.1555 0.7075 0.0789
S 0.8582 0.3012 0.4378
S 0.7223 0.1610 0.5765
S 0.5361 0.3725 0.1693
S 0.2323 0.8309 0.7226
S 0.7677 0.6691 0.7226
S 0.0361 0.1275 0.6693
S 0.0361 0.6275 0.3307
S 0.9354 0.3764 0.9912
S 0.5634 0.3784 0.8602
S 0.3445 0.2075 0.4211
S 0.3989 0.6446 0.3236
S 0.3582 0.6988 0.0622
S 0.6011 0.3554 0.6764
S 0.8989 0.3554 0.1764
S 0.9366 0.3784 0.3602
S 0.1418 0.1988 0.4378
S 0.3582 0.1988 0.9378
S 0.7777 0.1610 0.0765
S 0.7777 0.6610 0.9235
S 0.7677 0.1691 0.2774
S 0.9366 0.8784 0.6398
S 0.1011 0.1446 0.1764
S 0.2777 0.8390 0.4235
S 0.9354 0.8764 0.0088
S 0.6418 0.3012 0.9378
S 0.4366 0.1216 0.8602
S 0.3989 0.1446 0.6764
S 0.4639 0.1275 0.1693
S 0.6418 0.8012 0.0622
S 0.2677 0.3309 0.7774
S 0.5634 0.8784 0.1398
S 0.9639 0.8725 0.3307
S 0.7323 0.1691 0.7774
S 0.2677 0.8309 0.2226
S 0.4639 0.6275 0.8307
S 0.7223 0.6610 0.4235
S 0.2223 0.3390 0.0765
S 0.1555 0.2075 0.9211
S 0.2777 0.3390 0.5765
S 0.0646 0.6236 0.0088
S 0.1011 0.6446 0.8236
S 0.6555 0.7925 0.5789
S 0.5361 0.8725 0.8307
S 0.2323 0.3309 0.2774
S 0.8582 0.8012 0.5622
S 0.8989 0.8554 0.8236
S 0.5646 0.3764 0.4912
S 0.8445 0.7925 0.0789
S 0.4354 0.1236 0.4912
S 0.6011 0.8554 0.3236
S 0.7323 0.6691 0.2226
S 0.8445 0.2925 0.9211
S 0.0634 0.6216 0.6398
S 0.9639 0.3725 0.6693
S 0.6555 0.2925 0.4211
S 0.1418 0.6988 0.5622
S 0.4354 0.6236 0.5088
S 0.0634 0.1216 0.3602
S 0.2223 0.8390 0.9235
S 0.0646 0.1236 0.9912
S 0.3445 0.7075 0.5789

Output
The theoretical density comes out at 3.2 g cm⁻³. As for the formation energy: -689 meV/atom.

No. 5
Material: Rb6Sn2S7
Method: DFT, r2SCAN
State: optimized geometry

abc: 9.9862 13.5616 14.9956
angles: 90.00 90.00 90.00
Fractional positions:
Rb 0.9368 0.1832 0.8808
Rb 0.9697 0.8359 0.1890
Rb 0.4697 0.6641 0.8110
Rb 0.0303 0.3359 0.3110
Rb 0.5303 0.1641 0.6890
Rb 0.7224 0.8661 0.9340
Rb 0.2224 0.6339 0.0660
Rb 0.2776 0.3661 0.5660
Rb 0.8518 0.4299 0.0873
Rb 0.3518 0.0701 0.9127
Rb 0.1482 0.9299 0.4127
Rb 0.6482 0.5701 0.5873
Rb 0.8570 0.3473 0.6444
Rb 0.3570 0.1527 0.3556
Rb 0.1430 0.8473 0.8556
Rb 0.6430 0.6527 0.1444
Rb 0.7776 0.1339 0.4340
Rb 0.7532 0.8841 0.6236
Rb 0.0632 0.6832 0.6192
Rb 0.5632 0.8168 0.3808
Rb 0.7468 0.1159 0.1236
Rb 0.2468 0.3841 0.8764
Rb 0.2532 0.6159 0.3764
Rb 0.4368 0.3168 0.1192
Sn 0.8779 0.6038 0.3817
Sn 0.9230 0.6083 0.8635
Sn 0.4230 0.8917 0.1365
Sn 0.0770 0.1083 0.6365
Sn 0.5770 0.3917 0.3635
Sn 0.6221 0.3962 0.8817
Sn 0.1221 0.1038 0.1183
Sn 0.3779 0.8962 0.6183
S 0.6149 0.2303 0.9353
S 0.1149 0.2697 0.0647
S 0.3851 0.7303 0.5647
S 0.8851 0.7697 0.4353
S 0.5954 0.3266 0.5091
S 0.0954 0.1734 0.4909
S 0.4046 0.8266 0.9909
S 0.9046 0.6734 0.0091
S 0.7056 0.3008 0.2590
S 0.2056 0.1992 0.7410
S 0.2944 0.8008 0.2410
S 0.7944 0.6992 0.7590
S 0.8473 0.1037 0.6780
S 0.3473 0.3963 0.3220
S 0.1527 0.6037 0.8220
S 0.6527 0.8963 0.1780
S 0.9773 0.4965 0.4891
S 0.4773 0.0035 0.5109
S 0.0227 0.9965 0.0109
S 0.5227 0.5035 0.9891
S 0.5258 0.4148 0.7390
S 0.0258 0.0852 0.2610
S 0.4742 0.9148 0.7610
S 0.9742 0.5852 0.2390
S 0.8677 0.4289 0.8635
S 0.6323 0.5711 0.3635
S 0.1323 0.9289 0.6365
S 0.3677 0.0711 0.1365

Output
The theoretical density comes out at 3.2 g cm⁻³. As for the formation energy: -1174 meV/atom.

- Which value of theoretical density does entry 3 give?
  3.1 g cm⁻³

- Which value of theoretical density does entry 3 give?
  3.1 g cm⁻³